w.
Li4VF7 | GGA+U | optimized geometry

Results
Space group: No. 216

Lattice parameters (Å, degrees): 5.985 5.985 5.985 60.00 60.00 60.00
Positions (direct):
F  0.250  0.250  0.250
F  0.236  0.764  0.236
F  0.764  0.236  0.236
F  0.236  0.236  0.764
F  0.764  0.236  0.764
F  0.764  0.764  0.236
F  0.236  0.764  0.764
Li  0.374  0.374  0.374
Li  0.374  0.878  0.374
Li  0.374  0.374  0.878
Li  0.878  0.374  0.374
V  0.000  0.000  0.000

***

x.
Li4VF7 | GGA+U | optimized geometry

Results
Space group: No. 15

Lattice parameters (Å, degrees): 7.693 7.693 5.543 79.57 79.57 69.11
Positions (direct):
F  0.004  0.195  0.356
F  0.850  0.334  0.907
F  0.553  0.447  0.250
F  0.150  0.666  0.093
F  0.780  0.616  0.434
F  0.666  0.150  0.593
F  0.195  0.004  0.856
F  0.996  0.805  0.644
F  0.384  0.220  0.066
F  0.616  0.780  0.934
F  0.447  0.553  0.750
F  0.220  0.384  0.566
F  0.334  0.850  0.407
F  0.805  0.996  0.144
Li  0.426  0.306  0.736
Li  0.255  0.057  0.165
Li  0.057  0.255  0.665
Li  0.306  0.426  0.236
Li  0.694  0.574  0.764
Li  0.943  0.745  0.335
Li  0.745  0.943  0.835
Li  0.574  0.694  0.264
V  0.229  0.771  0.750
V  0.771  0.229  0.250

***

The structure with the most favorable energy is w; the runner-up is 0.062 eV/atom above it.